SiO2: relaxed, PBE-GGA.

The structure in POSCAR format:
```
SiO2
1.0
4.991 -8.199 0.000
4.991 8.199 0.000
-8.476 0.000 4.505
Si O
6 12
Cartesian
-3.861 1.105 3.379
5.368 -1.105 1.126
3.780 3.547 0.823
-2.273 -3.547 3.682
1.965 -4.652 1.430
-0.458 4.652 3.075
2.496 4.099 0.000
6.103 -2.133 0.046
-4.596 2.133 4.460
5.368 3.934 1.126
2.496 -4.099 0.000
-0.358 6.066 2.207
-1.742 -4.099 2.253
-3.861 -3.934 3.379
1.865 -6.066 2.298
4.991 0.000 0.000
-1.742 4.099 2.253
-4.238 0.000 2.253
```

## Properties
E (MP2020): -23.6 eV/f.u.
E_form: -2.7436 eV/atom
SG: No. 167